No. 1
Mg3AlSi3O12, relaxed, DFT PBE-GGA; uncorrected energy = -130.033 eV per formula unit; total magnetization = 0.158 μB/atom; energy of formation = -2846 meV/atom; theoretical density = 1.7 g/cm3; crystal system = monoclinic
1.0
2.7537 -4.6600 0.0000
2.7537 4.6600 0.0000
-1.2842 0.0000 29.1815
Mg Al Si O
6 2 6 24
Cartesian
2.1116 3.8477 14.5908
2.8159 2.2958 0.0244
2.3170 0.8131 14.6152
2.9591 -0.8131 0.0245
2.1737 -2.2958 14.6152
2.7537 -3.8477 0.0000
1.2190 2.2649 11.8082
0.5769 -2.2649 26.3989
3.1664 2.3442 17.4053
3.8061 0.7788 2.8102
3.9841 0.7824 11.8123
3.1639 -0.7788 17.4010
3.3420 -0.7824 26.4031
3.8085 -2.3442 2.8146
1.2226 2.3074 13.6058
0.4716 0.7307 15.4139
1.7929 3.1197 17.9063
1.8963 3.1446 25.7981
0.5587 0.6899 28.3159
1.1137 -0.7307 0.8232
2.4345 1.5556 3.3242
1.2008 -0.6899 13.7252
2.6633 1.5011 11.2283
3.1696 2.3300 15.7499
0.5805 -2.3074 28.1965
3.7998 0.7709 1.1618
3.1634 0.7825 17.9348
1.7924 -1.5556 17.9149
2.0212 -1.5011 25.8191
3.3451 0.7435 25.8570
3.9971 0.8083 13.4756
3.1576 -0.7709 15.7526
3.8055 -0.7825 3.3441
2.4350 -3.1197 3.3155
2.5384 -3.1446 11.2073
3.9872 -0.7435 11.2662
3.3550 -0.8083 28.0664
3.8118 -2.3300 1.1592

***

No. 2
Eu2MgSe4, relaxed, DFT PBE-GGA; uncorrected energy = -45.774 eV per formula unit; total magnetization = 1.714 μB/atom; energy of formation = -1652 meV/atom; theoretical density = 5.0 g/cm3; ΔE to the lowest computed polymorph = 0.027 eV/atom; crystal system = cubic
1.0
0.0000 5.9800 5.9800
5.9800 0.0000 5.9800
5.9800 5.9800 0.0000
Eu Mg Se
4 2 8
Cartesian
0.0000 0.0000 0.0000
2.9900 2.9900 0.0000
2.9900 0.0000 2.9900
0.0000 2.9900 2.9900
4.4850 4.4850 4.4850
7.4750 7.4750 7.4750
8.9982 5.9517 5.9517
2.9617 2.9617 2.9617
6.0082 6.0082 2.9617
6.0082 2.9617 6.0082
5.9517 8.9982 5.9517
5.9517 5.9517 8.9982
8.9982 8.9982 8.9982
2.9617 6.0082 6.0082

***

No. 3
LiTmF2, relaxed, DFT PBE-GGA; uncorrected energy = -19.462 eV per formula unit; total magnetization = 0.000 μB/atom; energy of formation = -2543 meV/atom; theoretical density = 5.6 g/cm3; crystal system = tetragonal
1.0
-3.1650 3.1650 6.3762
3.1650 -3.1650 6.3762
3.1650 3.1650 -6.3762
Li Tm F
4 4 8
Cartesian
0.0000 0.0000 0.0000
1.5825 1.5825 -3.1881
1.5825 -1.5825 3.1881
0.0000 3.1650 0.0000
3.1650 0.0000 0.0000
-1.5825 1.5825 3.1881
0.0000 0.0000 6.3762
1.5825 1.5825 3.1881
3.1650 0.0693 2.3216
1.6519 1.5825 0.8665
4.6782 1.5825 0.8665
0.0000 0.0693 4.0546
3.1650 3.0957 2.3216
-1.5132 1.5825 5.5097
1.5132 1.5825 5.5097
0.0000 3.0957 4.0546

***

No. 4
Ti2Te2O5F5, relaxed, DFT PBE-GGA; uncorrected energy = -88.909 eV per formula unit; total magnetization = 0.071 μB/atom; energy of formation = -2733 meV/atom; theoretical density = 4.1 g/cm3; crystal system = orthorhombic
1.0
7.6748 0.0000 0.0000
0.0000 16.7820 0.0000
0.0000 0.0000 6.6742
Ti Te O F
8 8 20 20
Cartesian
0.8622 2.2045 1.6525
0.8622 6.1865 1.6525
2.9752 10.5955 4.9896
2.9752 14.5775 4.9896
4.6996 2.2045 1.6846
4.6996 6.1865 1.6846
6.8126 10.5955 5.0218
6.8126 14.5775 5.0218
1.0694 10.6764 1.4784
1.0694 14.4966 1.4784
2.7680 2.2854 4.8155
2.7680 6.1056 4.8155
4.9067 10.6764 1.8587
4.9067 14.4966 1.8587
6.6054 2.2854 5.1958
6.6054 6.1056 5.1958
0.3939 2.3411 6.4181
0.3939 6.0499 6.4181
1.1347 12.5865 1.8463
1.3247 2.2183 3.5656
1.3247 6.1727 3.5656
2.5127 10.6093 0.2285
2.5127 14.5637 0.2285
2.7026 4.1955 5.1834
3.4435 10.7321 3.0810
3.4435 14.4409 3.0810
4.2313 2.3411 3.5933
4.2313 6.0499 3.5933
4.9721 12.5865 1.4908
5.1621 2.2183 6.4458
5.1621 6.1727 6.4458
6.3501 10.6093 3.1087
6.3501 14.5637 3.1087
6.5400 4.1955 4.8279
7.2809 10.7321 0.2562
7.2809 14.4409 0.2562
0.8498 0.3359 1.5463
0.8498 8.0551 1.5463
0.8807 4.1955 1.7061
1.0521 10.6553 4.5216
1.0521 14.5177 4.5216
2.7852 2.2643 1.1845
2.7852 6.1267 1.1845
2.9566 12.5865 5.0432
2.9876 8.7269 4.8835
2.9876 16.4461 4.8835
4.6872 0.3359 1.7908
4.6872 8.0551 1.7908
4.7181 4.1955 1.6310
4.8895 10.6553 5.4898
4.8895 14.5177 5.4898
6.6226 2.2643 2.1526
6.6226 6.1267 2.1526
6.7940 12.5865 4.9681
6.8250 8.7269 5.1279
6.8250 16.4461 5.1279

***

No. 5
ZnAg2I4, relaxed, DFT PBE-GGA; uncorrected energy = -15.983 eV per formula unit; energy of formation = -640 meV/atom; theoretical density = 4.8 g/cm3; crystal system = orthorhombic
1.0
9.2264 0.0000 0.0000
0.0000 7.8445 0.0000
0.0000 0.0000 7.4797
Zn Ag I
2 4 8
Cartesian
0.0000 1.4046 0.0000
4.6132 6.4399 3.7399
2.2854 5.2516 7.4667
2.3278 2.5929 3.7268
6.8986 2.5929 3.7268
6.9410 5.2516 7.4667
0.0000 1.2984 4.8162
0.0000 6.7372 0.9320
2.2483 2.5297 0.8501
2.3649 5.3148 4.5900
4.6132 1.1073 4.6719
4.6132 6.5461 1.0763
6.8615 5.3148 4.5900
6.9781 2.5297 0.8501

***

No. 6
TmPd, relaxed, DFT PBE-GGA; uncorrected energy = -11.555 eV per formula unit; energy of formation = -949 meV/atom; theoretical density = 11.0 g/cm3; crystal system = cubic
1.0
3.4654 0.0000 0.0000
0.0000 3.4654 0.0000
0.0000 0.0000 3.4654
Tm Pd
1 1
Cartesian
0.0000 0.0000 0.0000
1.7327 1.7327 1.7327

***

No. 7
Ba, relaxed, DFT PBE-GGA; uncorrected energy = -1.560 eV per formula unit; total magnetization = 0.002 μB/atom; energy of formation = 359 meV/atom; theoretical density = 4.0 g/cm3; ΔE to the lowest computed polymorph = 0.359 eV/atom; crystal system = tetragonal
1.0
3.9996 0.0000 0.0000
0.0000 3.9996 0.0000
0.0000 0.0000 3.6055
Ba
1
Cartesian
0.0000 0.0000 0.0000

***

No. 8
Na5ZrNb3Si6O24, relaxed, DFT PBE-GGA; uncorrected energy = -298.875 eV per formula unit; total magnetization = 0.000 μB/atom; energy of formation = -3041 meV/atom; theoretical density = 3.2 g/cm3; crystal system = triclinic
1.0
9.0608 0.0000 0.0000
4.5184 7.8746 0.0000
0.0050 0.0864 22.8267
Na Zr Nb Si O
15 3 9 18 72
Cartesian
0.0000 0.0000 0.0000
2.8685 4.9986 5.7299
1.6342 2.4386 3.8081
4.0470 2.4476 15.2676
7.3610 7.6549 1.8762
7.3960 7.6506 13.3576
6.1614 5.0951 11.4266
8.5879 5.0444 0.0029
7.3111 2.4288 9.5193
7.3414 2.5153 20.9162
10.2355 7.3749 3.8161
10.6615 7.7227 19.0609
13.1182 7.6815 7.6531
11.8970 5.0850 17.1686
10.2421 2.1554 11.4328
2.8846 5.0269 2.3832
7.3871 7.7661 21.3535
7.4263 7.6878 9.9813
2.8679 5.0478 20.4663
7.3304 7.6702 16.6951
7.3438 7.6323 5.2983
7.3322 2.4017 1.4546
7.3472 2.4583 6.2132
7.3551 2.4112 12.9049
7.4033 2.4942 17.6124
11.8716 5.1155 13.8432
11.8751 5.0225 9.0524
4.7183 7.7168 19.0551
1.5357 2.1015 7.6343
4.1520 2.7977 11.4716
5.4755 4.9993 0.0165
4.1550 2.1531 19.0024
6.0539 5.3565 7.6654
4.7433 2.4122 3.8557
6.0785 4.7436 15.2362
8.6750 5.4077 19.0591
10.0059 7.6683 7.6190
8.6382 4.6978 3.8343
6.0688 0.1560 15.2794
10.5729 7.3108 0.0299
9.2799 5.0695 11.4613
8.6902 0.1361 3.8544
9.9946 2.4425 15.2405
13.1640 7.3417 11.4366
10.5957 2.7198 0.0503
3.7311 6.4021 19.1778
2.2133 3.5841 7.7931
2.1401 3.3883 1.3938
3.8219 6.3484 12.7171
1.0507 0.1087 20.3943
1.6947 1.1682 8.9528
1.2684 0.0672 4.0003
1.9186 1.1403 15.3980
4.4141 5.2927 7.7723
2.1020 1.2979 22.7442
3.4650 3.6305 19.1927
2.2001 1.3522 6.3093
5.7241 7.4881 11.3518
5.7325 7.4982 17.7659
3.4801 3.5215 12.7837
4.5458 5.3042 1.3006
3.7477 3.6732 3.7763
4.4443 4.8198 15.0703
3.8813 3.7905 10.1715
4.4785 4.8630 21.5468
3.4138 1.3630 11.3507
6.3351 6.3750 6.3756
3.4929 1.4175 17.6822
6.4324 6.3917 22.7156
6.7475 6.2209 15.4142
3.8416 1.0346 3.9924
6.6932 6.0079 8.9960
3.9964 1.1881 20.2874
6.3310 3.7339 16.4985
5.7905 2.7219 11.6054
5.7459 2.5929 5.1317
6.4364 3.6695 0.1734
4.4366 0.0847 15.3982
7.9879 6.1970 4.0025
6.7300 4.0104 13.9004
6.7115 3.8807 7.4397
5.7422 2.1386 2.5611
5.7859 2.2618 18.8182
4.5747 0.0727 8.9104
8.0321 6.0338 20.3993
8.2791 6.3309 11.3743
8.9704 7.5033 22.7345
8.3964 6.4295 17.7781
9.0430 7.4440 6.2917
6.3513 1.1591 13.9796
7.9899 3.9697 2.5022
8.0249 3.9240 18.8259
6.4955 1.0788 7.4389
8.3594 3.7007 5.1017
6.7254 0.8751 16.5806
8.3724 3.6918 11.5999
6.8190 0.8977 0.1919
10.8045 6.4104 1.3668
10.2795 5.2493 12.7476
10.3167 5.3381 19.1897
10.9888 6.3544 7.7763
8.9338 2.6231 0.1702
8.0028 0.9748 11.6126
10.2555 4.8405 3.7571
9.0034 2.6721 16.5132
11.3010 6.6902 21.5419
8.0184 0.8732 5.1539
10.2707 4.7942 10.1670
11.2677 6.5576 15.0728
8.2597 1.1322 18.8392
8.9692 2.2034 7.4243
9.0412 2.2288 13.9093
8.4381 1.1004 2.5256
10.8582 3.8243 21.5915
12.4709 6.5762 3.7579
12.5183 6.6288 10.1023
10.9779 3.7508 15.0849

***

No. 9
CsK3, relaxed, DFT PBE-GGA; uncorrected energy = -4.090 eV per formula unit; energy of formation = 34 meV/atom; theoretical density = 1.3 g/cm3; crystal system = tetragonal
1.0
-3.3833 3.3833 7.2422
3.3833 -3.3833 7.2422
3.3833 3.3833 -7.2422
Cs K
1 3
Cartesian
0.0000 0.0000 0.0000
3.3833 0.0000 3.6211
0.0000 0.0000 7.2422
0.0000 3.3833 3.6211

***

No. 10
Dy2Ga3Fe14C2, relaxed, DFT PBE-GGA; uncorrected energy = -158.437 eV per formula unit; total magnetization = 1.215 μB/atom; energy of formation = -148 meV/atom; theoretical density = 8.3 g/cm3; crystal system = monoclinic
1.0
4.8586 -4.2779 0.0000
4.8586 4.2779 0.0000
-0.9711 0.0000 6.4188
Dy Ga Fe C
2 3 14 2
Cartesian
1.1494 0.0000 2.1714
7.5967 0.0000 4.2473
2.4293 2.1390 0.0000
2.4293 -2.1390 0.0000
4.3731 0.0000 3.2094
0.6672 0.0000 5.4457
3.5722 2.1301 2.2093
4.8586 2.5000 0.0000
2.7744 1.2287 4.5811
5.1740 2.1301 4.2095
3.8661 0.0000 0.6147
2.7744 -1.2287 4.5811
5.9717 1.2287 1.8376
4.8801 0.0000 5.8041
3.5722 -2.1301 2.2093
5.9717 -1.2287 1.8376
4.8586 -2.5000 0.0000
5.1740 -2.1301 4.2095
8.0790 0.0000 0.9731
1.9438 2.1390 3.2094
1.9438 -2.1390 3.2094

***

No. 11
CsMnI3, relaxed, DFT PBE-GGA; uncorrected energy = -19.171 eV per formula unit; energy of formation = -1136 meV/atom; theoretical density = 4.4 g/cm3; crystal system = hexagonal
1.0
8.3587 0.0000 0.0000
-4.1794 7.2389 0.0000
0.0000 0.0000 7.0128
Cs Mn I
2 2 6
Cartesian
0.0000 4.8259 1.7532
4.1794 2.4130 5.2596
0.0000 0.0000 0.0000
0.0000 0.0000 3.5064
0.0000 2.3306 5.2596
-2.1610 6.0736 5.2596
2.0184 1.1653 1.7532
2.1610 6.0736 5.2596
6.3404 1.1653 1.7532
4.1794 4.9083 1.7532

***

No. 12
DyU2S3O2, relaxed, DFT PBE-GGA; uncorrected energy = -68.123 eV per formula unit; total magnetization = 0.602 μB/atom; energy of formation = -2689 meV/atom; theoretical density = 8.3 g/cm3; crystal system = tetragonal
1.0
-1.9003 1.9003 10.6158
1.9003 -1.9003 10.6158
1.9003 1.9003 -10.6158
Dy U S O
1 2 3 2
Cartesian
0.0000 0.0000 0.0000
0.0000 0.0000 6.6549
0.0000 0.0000 14.5767
0.0000 0.0000 2.7356
0.0000 0.0000 10.6158
0.0000 0.0000 18.4960
1.9003 0.0000 5.3079
0.0000 1.9003 5.3079

***

No. 13
Rb2SmAuCl6, relaxed, DFT PBE-GGA; uncorrected energy = -37.615 eV per formula unit; total magnetization = 0.000 μB/atom; energy of formation = -2025 meV/atom; theoretical density = 3.8 g/cm3; crystal system = cubic
1.0
0.0000 5.4461 5.4461
5.4461 0.0000 5.4461
5.4461 5.4461 0.0000
Rb Sm Au Cl
2 1 1 6
Cartesian
2.7231 2.7231 2.7231
8.1692 8.1692 8.1692
0.0000 0.0000 0.0000
5.4461 5.4461 5.4461
5.4461 5.4461 2.6918
5.4461 2.6918 5.4461
8.2004 5.4461 5.4461
2.6918 5.4461 5.4461
5.4461 8.2004 5.4461
5.4461 5.4461 8.2004

***

No. 14
Th3Pb, relaxed, DFT PBE-GGA; uncorrected energy = -26.602 eV per formula unit; energy of formation = -162 meV/atom; theoretical density = 12.1 g/cm3; crystal system = cubic
1.0
4.9893 0.0000 0.0000
0.0000 4.9893 0.0000
0.0000 0.0000 4.9893
Th Pb
3 1
Cartesian
0.0000 0.0000 2.4947
0.0000 2.4947 0.0000
2.4947 0.0000 0.0000
2.4947 2.4947 2.4947